Below is Be2CoN2F14 after structural relaxation, with properties calculated at the PBE with a Hubbard U level.

Offset from the most stable computed form   50 meV/atom
Crystal system   monoclinic
Space group   P2_1/c
Final energy   -4.3534 eV/atom
ΔE_f   -1.724 eV per atom
Spin magnetization   3.0 μB per formula unit

abc: 13.4050 5.6647 8.3588
angles: 67.41 90.00 90.00
With the nearest neighbours (Å) after each atom.
Atoms (fractional coordinates):
F: 0.3981 0.4508 0.3764  1 Co 1.80
F: 0.3036 0.3084 0.0499  1 N 1.34
Co: 0.0000 0.5000 0.0000  4 F 1.73-1.80
F: 0.8036 0.6916 0.4501  1 N 1.34
F: 0.0556 0.7814 0.9895  1 Co 1.73
F: 0.6198 0.0674 0.9619  1 Be 1.62, 1 N 1.74
F: 0.0806 0.2788 0.2321  1 Be 1.45
F: 0.7120 0.0394 0.7330  1 N 1.35
F: 0.3802 0.9326 0.0381  1 Be 1.62, 1 N 1.74
N: 0.6429 0.8843 0.8394  2 F 1.34-1.35
F: 0.9444 0.2186 0.0105  1 Co 1.73
F: 0.8981 0.5492 0.1236  1 Co 1.80
F: 0.5556 0.2186 0.5105  1 Co 1.73
Co: 0.5000 0.5000 0.5000  4 F 1.73-1.80
F: 0.8802 0.0674 0.4619  1 Be 1.62, 1 N 1.74
N: 0.1429 0.1157 0.6606  2 F 1.34-1.35
F: 0.2120 0.9606 0.7670  1 N 1.35
Be: 0.4152 0.0067 0.8387  2 F 1.41-1.45
F: 0.1019 0.4508 0.8764  1 Co 1.80
F: 0.2880 0.9606 0.2670  1 N 1.35
F: 0.4444 0.7814 0.4895  1 Co 1.73
F: 0.9194 0.7212 0.7679  1 Be 1.45
F: 0.4303 0.7721 0.8193  1 Be 1.41
F: 0.4194 0.2788 0.7321  1 Be 1.45
F: 0.5697 0.2279 0.1807  1 Be 1.41
N: 0.8571 0.8843 0.3394  2 F 1.34-1.35
Be: 0.0848 0.0067 0.3387  2 F 1.41-1.45
F: 0.9303 0.2279 0.6807  1 Be 1.41
N: 0.3571 0.1157 0.1606  2 F 1.34-1.35
Be: 0.5848 0.9933 0.1613  2 F 1.41-1.45
F: 0.5806 0.7212 0.2679  1 Be 1.45
Be: 0.9152 0.9933 0.6613  2 F 1.41-1.45
F: 0.1198 0.9326 0.5381  1 Be 1.62, 1 N 1.74
F: 0.6019 0.5492 0.6236  1 Co 1.80
F: 0.6964 0.6916 0.9501  1 N 1.34
F: 0.1964 0.3084 0.5499  1 N 1.34
F: 0.0697 0.7721 0.3193  1 Be 1.41
F: 0.7880 0.0394 0.2330  1 N 1.35